Ce3Al | r2SCAN | optimized geometry

POSCAR file:
```
Ce3Al
1.0
-3.631 -4.499 3.510
0.575 -0.616 -6.711
4.358 -3.010 0.650
Al Ce
2 6
direct
0.667 0.333 0.750
0.333 0.667 0.250
0.819 0.181 0.250
0.819 0.639 0.250
0.361 0.181 0.250
0.181 0.819 0.750
0.181 0.361 0.750
0.639 0.819 0.750
```

Crystal system   hexagonal
ΔE to the lowest computed polymorph   0.0215 eV/atom
V   26.422 Å³ per atom
ΔH_f (0 K)   -213.9 meV/atom
Space-group type   P6_3/mmc, No. 194